Entry 1:
Entry from the Materials Project database: a relaxed structure of Tb3Y (PBE).

Calculated values
ΔE_f (eV per atom): 0.02

a = 6.1754 Å, b = 6.1754 Å, c = 6.1754 Å
α = 131.77°, β = 131.77°, γ = 70.59°
Fractional coordinates of all 4 atoms:
Tb: 0.7500 0.2500 0.5000
Tb: 0.2500 0.7500 0.5000
Tb: 0.5000 0.5000 0.0000
Y: 0.0000 0.0000 0.0000

Entry 2:
Entry from the Materials Project database: a relaxed structure of Tb3Zn11 (PBE).

Calculated values
ΔE_f (eV per atom): -0.34

a = 8.1561 Å, b = 8.1561 Å, c = 8.1561 Å
α = 148.43°, β = 114.74°, γ = 74.31°
Fractional coordinates of all 14 atoms:
Tb: 0.0000 0.0000 0.0000
Tb: 0.2943 0.2943 0.0000
Tb: 0.7057 0.7057 0.0000
Zn: 0.5000 0.0000 0.5000
Zn: 0.6819 0.5000 0.1819
Zn: 0.3181 0.5000 0.8181
Zn: 0.6994 0.3404 0.3590
Zn: 0.3006 0.6596 0.6410
Zn: 0.9813 0.3404 0.6410
Zn: 0.0187 0.6596 0.3590
Zn: 0.4180 0.1374 0.2805
Zn: 0.5820 0.8626 0.7195
Zn: 0.8569 0.1374 0.7195
Zn: 0.1431 0.8626 0.2805

Entry 3:
Entry from the Materials Project database: a relaxed structure of TbZn3 (PBE).

Calculated values
ΔE_f (eV per atom): -0.37

a = 4.4147 Å, b = 6.6758 Å, c = 10.1171 Å
α = 90.00°, β = 90.00°, γ = 90.00°
Fractional coordinates of all 16 atoms:
Tb: 0.2500 0.2797 0.6625
Tb: 0.2500 0.7797 0.8375
Tb: 0.7500 0.7203 0.3375
Tb: 0.7500 0.2203 0.1625
Zn: 0.2500 0.5362 0.1037
Zn: 0.2500 0.0362 0.3963
Zn: 0.7500 0.4638 0.8963
Zn: 0.7500 0.9638 0.6037
Zn: 0.2500 0.9175 0.1481
Zn: 0.2500 0.4175 0.3519
Zn: 0.7500 0.0825 0.8519
Zn: 0.7500 0.5825 0.6481
Zn: 0.2500 0.2168 0.9569
Zn: 0.2500 0.7168 0.5431
Zn: 0.7500 0.7832 0.0431
Zn: 0.7500 0.2832 0.4569

Entry 4:
Entry from the Materials Project database: a relaxed structure of Tb6Zn23 (PBE).

Calculated values
ΔE_f (eV per atom): -0.32

a = 9.0253 Å, b = 9.0253 Å, c = 9.0253 Å
α = 60.00°, β = 60.00°, γ = 60.00°
Fractional coordinates of all 29 atoms:
Tb: 0.7086 0.7086 0.2914
Tb: 0.2914 0.7086 0.2914
Tb: 0.7086 0.2914 0.2914
Tb: 0.2914 0.2914 0.7086
Tb: 0.7086 0.2914 0.7086
Tb: 0.2914 0.7086 0.7086
Zn: 0.0000 0.0000 0.0000
Zn: 0.0000 0.0000 0.5000
Zn: 0.5000 0.0000 0.5000
Zn: 0.0000 0.5000 0.5000
Zn: 0.5000 0.5000 0.0000
Zn: 0.0000 0.5000 0.0000
Zn: 0.5000 0.0000 0.0000
Zn: 0.8769 0.8769 0.3692
Zn: 0.8769 0.3692 0.8769
Zn: 0.3692 0.8769 0.8769
Zn: 0.8769 0.8769 0.8769
Zn: 0.1231 0.1231 0.6308
Zn: 0.1231 0.6308 0.1231
Zn: 0.6308 0.1231 0.1231
Zn: 0.1231 0.1231 0.1231
Zn: 0.6716 0.6716 0.9851
Zn: 0.6716 0.9851 0.6716
Zn: 0.9851 0.6716 0.6716
Zn: 0.6716 0.6716 0.6716
Zn: 0.3284 0.3284 0.0149
Zn: 0.3284 0.0149 0.3284
Zn: 0.0149 0.3284 0.3284
Zn: 0.3284 0.3284 0.3284

Entry 5:
Entry from the Materials Project database: a relaxed structure of Tb3Zn (PBE).

Calculated values
Total magnetization (Bohr magnetons per cell): 0.0
ΔE_f (eV per atom): -0.04

a = 4.7542 Å, b = 4.7542 Å, c = 4.7542 Å
α = 90.00°, β = 90.00°, γ = 90.00°
Fractional coordinates of all 4 atoms:
Tb: 0.0000 0.5000 0.5000
Tb: 0.5000 0.0000 0.5000
Tb: 0.5000 0.5000 0.0000
Zn: 0.0000 0.0000 0.0000

Entry 6:
Entry from the Materials Project database: a relaxed structure of Tb2Zn17 (PBE).

Calculated values
ΔE_f (eV per atom): -0.25
Energy relative to the lowest polymorph listed for this composition (meV/atom): 0.0

a = 6.8027 Å, b = 6.8027 Å, c = 6.8027 Å
α = 82.55°, β = 82.55°, γ = 82.55°
Fractional coordinates of all 19 atoms:
Tb: 0.3349 0.3349 0.3349
Tb: 0.6651 0.6651 0.6651
Zn: 0.8384 0.3517 0.3517
Zn: 0.0000 0.2968 0.7032
Zn: 0.2968 0.7032 0.0000
Zn: 0.2968 0.0000 0.7032
Zn: 0.0000 0.7032 0.2968
Zn: 0.6483 0.6483 0.1616
Zn: 0.8999 0.8999 0.8999
Zn: 0.7032 0.0000 0.2968
Zn: 0.0000 0.0000 0.5000
Zn: 0.6483 0.1616 0.6483
Zn: 0.1616 0.6483 0.6483
Zn: 0.1001 0.1001 0.1001
Zn: 0.3517 0.8384 0.3517
Zn: 0.3517 0.3517 0.8384
Zn: 0.7032 0.2968 0.0000
Zn: 0.5000 0.0000 0.0000
Zn: 0.0000 0.5000 0.0000